#w
First-principles (PBE+U) data for a relaxed structure of Li2Cr3SnO8, as listed in Materials Project. Values from VASP.

Cell and atoms, written as Quantum ESPRESSO input:
```
&SYSTEM
  ibrav = 0, nat = 56, ntyp = 4
/
ATOMIC_SPECIES
Li 6.94 Li.upf
Cr 52.00 Cr.upf
Sn 118.71 Sn.upf
O 16.00 O.upf
CELL_PARAMETERS angstrom
8.4924 0.0000 0.0000
0.0000 8.5030 0.0000
0.0000 0.0000 8.5038
ATOMIC_POSITIONS angstrom
Li 0.0069 0.0095 0.0097
Li 2.0998 2.1043 2.1012
Li 2.1464 6.3987 6.3531
Li 4.2393 8.4935 4.2616
Li 4.2531 4.2420 8.4941
Li 6.3460 2.1472 6.4026
Li 6.3926 6.3557 2.1507
Li 8.4855 4.2610 4.2422
Cr 0.9908 1.1510 5.3240
Cr 1.0681 3.2626 7.3516
Cr 1.1484 5.3262 0.9902
Cr 3.0978 3.1768 5.2421
Cr 3.1781 5.2404 3.0997
Cr 3.2554 7.3520 1.0721
Cr 5.2370 3.1005 3.1798
Cr 5.3143 0.9889 1.1522
Cr 5.3946 7.4282 7.5136
Cr 7.3440 1.0748 3.2617
Cr 7.4243 7.5141 5.4041
Cr 7.5016 5.4025 7.4317
Sn 1.0563 7.4521 3.1971
Sn 3.1899 1.0509 7.4490
Sn 5.3025 5.3024 5.3067
Sn 7.4361 3.2006 1.0548
O 0.8687 1.0469 3.3202
O 0.9325 7.6331 5.2970
O 0.9435 5.1965 7.5602
O 1.0412 3.3222 0.8673
O 1.0875 1.2590 7.3192
O 1.1399 3.1139 5.3930
O 1.1843 5.3438 2.9917
O 1.2562 7.3212 1.0902
O 2.9900 1.1818 5.3421
O 3.0619 3.1592 7.2436
O 3.1063 5.3891 1.1411
O 3.1587 7.2440 3.0673
O 3.2050 5.1807 5.1192
O 3.3027 3.3065 3.3083
O 3.3137 0.8699 1.0451
O 3.3775 7.4561 7.5722
O 5.1149 3.2046 5.1836
O 5.1787 5.1214 3.2068
O 5.1897 7.5580 0.9436
O 5.2874 0.9292 7.6365
O 5.3337 2.9925 1.1847
O 5.3861 1.1376 3.1108
O 5.4305 7.4107 5.5121
O 5.5024 5.4333 7.4137
O 7.2362 3.0697 3.1617
O 7.3081 1.0923 1.2602
O 7.3525 7.3654 7.3627
O 7.4049 5.5105 5.4366
O 7.4512 7.5737 3.3846
O 7.5489 0.9450 5.1955
O 7.5599 3.3816 7.4587
O 7.6237 5.2984 0.9317
```

***

#x
First-principles (PBE+U) data for a relaxed structure of Li2Cr3SnO8, as listed in Materials Project. Values from VASP.

Cell and atoms, written as Quantum ESPRESSO input:
```
&SYSTEM
  ibrav = 0, nat = 56, ntyp = 4
/
ATOMIC_SPECIES
Li 6.94 Li.upf
Cr 52.00 Cr.upf
Sn 118.71 Sn.upf
O 16.00 O.upf
CELL_PARAMETERS angstrom
8.5084 0.0000 0.0000
0.0000 8.5084 0.0000
0.0000 0.0000 8.6106
ATOMIC_POSITIONS angstrom
Li 0.0104 2.1290 3.2398
Li 2.1290 0.0104 5.3707
Li 2.1252 4.2646 1.0872
Li 4.2438 6.3832 3.2181
Li 4.2646 2.1252 7.5234
Li 6.3832 4.2438 5.3925
Li 6.3794 8.4980 1.0655
Li 8.4980 6.3794 7.5451
Cr 1.0209 5.3364 4.3631
Cr 1.0822 3.2333 6.5157
Cr 1.1441 1.1441 0.0000
Cr 3.1101 5.3983 6.4579
Cr 3.1720 7.4876 8.5528
Cr 3.2333 1.0822 2.0949
Cr 5.2751 7.4262 6.4002
Cr 5.3364 1.0209 4.2475
Cr 5.3983 3.1101 2.1526
Cr 7.3643 7.3643 4.3053
Cr 7.4262 5.2751 2.2104
Cr 7.4876 3.1720 0.0578
Sn 1.0551 7.4533 2.1526
Sn 3.1991 3.1991 4.3053
Sn 5.3094 5.3094 0.0000
Sn 7.4533 1.0551 6.4579
O 0.8432 7.3680 4.2586
O 0.9345 5.3727 2.3243
O 1.0114 3.0317 8.5302
O 1.0482 1.2117 6.6077
O 1.1185 3.3197 4.4770
O 1.1404 7.6652 0.0467
O 1.2117 1.0482 2.0029
O 1.2225 5.2656 6.3775
O 3.0317 1.0114 0.0804
O 3.0425 5.3024 4.4550
O 3.1138 3.4110 6.4112
O 3.1357 7.5739 1.9809
O 3.2061 5.4659 8.4608
O 3.2428 7.2859 6.5383
O 3.3197 1.1185 4.1336
O 3.4110 3.1138 2.1993
O 5.0974 5.3946 6.5046
O 5.1887 7.3899 8.4389
O 5.2656 1.2225 2.2330
O 5.3024 3.0425 4.1555
O 5.3727 0.9345 6.2862
O 5.3946 5.0974 2.1060
O 5.4659 3.2061 0.1498
O 5.4767 7.4970 4.3857
O 7.2859 3.2428 2.0722
O 7.2967 7.4603 6.3082
O 7.3680 0.8432 4.3520
O 7.3899 5.1887 0.1717
O 7.4603 7.2967 2.3024
O 7.4970 5.4767 4.2249
O 7.5739 3.1357 6.6296
O 7.6652 1.1404 8.5639
```

***

#y
First-principles (PBE+U) data for a relaxed structure of Li2Cr3SnO8, as listed in Materials Project. Values from VASP.

Cell and atoms, written as Quantum ESPRESSO input:
```
&SYSTEM
  ibrav = 0, nat = 28, ntyp = 4
/
ATOMIC_SPECIES
Li 6.94 Li.upf
Cr 52.00 Cr.upf
Sn 118.71 Sn.upf
O 16.00 O.upf
CELL_PARAMETERS angstrom
5.3440 -3.0061 0.0000
5.3440 3.0061 0.0000
-3.2748 0.0000 9.7302
ATOMIC_POSITIONS angstrom
Li 2.7819 1.5081 5.4300
Li 2.9940 1.5081 9.1653
Li 4.4193 -1.5081 0.5649
Li 4.6314 -1.5081 4.3002
Cr 2.6720 1.5031 0.0000
Cr 1.8504 0.0033 2.4262
Cr 0.2130 -0.0033 7.2913
Cr 1.0346 -1.5031 4.8651
Cr 7.2003 0.0033 2.4389
Cr 5.5629 -0.0033 7.3041
Sn 4.5253 1.5252 2.4326
Sn 2.8879 -1.5252 7.2977
O 0.8804 1.4775 8.5050
O -1.4063 0.1214 8.5023
O 2.7353 1.5025 3.4776
O 0.2311 -0.1214 3.6372
O 3.4802 0.1599 1.1958
O 6.3154 1.5025 1.3875
O 1.8428 -0.1599 6.0609
O 4.8954 1.4775 6.0904
O 2.5178 -1.4775 3.6399
O 5.5705 0.1599 3.6693
O 1.0979 -1.5025 8.3427
O 3.9331 -0.1599 8.5344
O 7.1822 0.1214 6.0930
O 4.6780 -1.5025 6.2526
O 8.8196 -0.1214 1.2279
O 6.5328 -1.4775 1.2252
```

***

#z
First-principles (PBE+U) data for a relaxed structure of Li2Cr3SnO8, as listed in Materials Project. Values from VASP.

Cell and atoms, written as Quantum ESPRESSO input:
```
&SYSTEM
  ibrav = 0, nat = 14, ntyp = 4
/
ATOMIC_SPECIES
Li 6.94 Li.upf
Cr 52.00 Cr.upf
Sn 118.71 Sn.upf
O 16.00 O.upf
CELL_PARAMETERS angstrom
3.0163 1.7415 4.8222
-3.0163 1.7415 4.8222
0.0000 -3.4830 4.8222
ATOMIC_POSITIONS angstrom
Li 0.0000 0.0000 0.0000
Li 0.0000 0.0000 5.4180
Cr 0.0000 -1.6728 2.3180
Cr -1.4487 0.8364 2.3180
Cr 1.4487 0.8364 2.3180
Sn 0.0000 0.0000 8.8425
O -1.6547 -0.9553 8.3105
O 0.0000 0.0000 3.4027
O 0.0000 -1.8446 6.1878
O -1.5975 0.9223 6.1878
O 0.0000 0.0000 10.8869
O 1.6547 -0.9553 8.3105
O 0.0000 1.9107 8.3105
O 1.5975 0.9223 6.1878
```

***

Relative to the most stable one, in eV/atom, the structures come out at #w 0.018; #x 0.000; #y 0.007; #z 0.061.

***

#w
First-principles (PBE+U) data for a relaxed structure of LiTiCrO4, as listed in Materials Project. Values from VASP.

Cell and atoms, written as Quantum ESPRESSO input:
```
&SYSTEM
  ibrav = 0, nat = 28, ntyp = 4
/
ATOMIC_SPECIES
Li 6.94 Li.upf
Cr 52.00 Cr.upf
O 16.00 O.upf
Ti 47.87 Ti.upf
CELL_PARAMETERS angstrom
5.0565 0.0000 0.0000
0.0000 9.6479 0.0000
0.0000 0.0000 5.9700
ATOMIC_POSITIONS angstrom
Li 2.8312 9.3028 0.7462
Cr 2.4500 3.4918 5.2236
O 3.5955 2.7074 0.7461
Cr 2.4501 3.4909 2.2387
Cr 0.0782 8.3155 2.2387
O 0.9699 9.3015 0.7462
Cr 0.0781 8.3152 5.2238
O 1.5584 4.4775 3.7310
O 3.9903 0.3419 5.2238
Li 2.8312 9.3028 3.7313
O 1.5584 4.4775 0.7463
O 3.9893 7.5313 3.7312
Ti 4.9899 1.3795 3.7314
O 1.5938 6.9244 5.2237
O 3.9892 7.5314 0.7464
O 0.9698 9.3015 3.7313
O 3.5945 5.1658 2.2387
O 3.5946 5.1659 5.2237
O 1.5938 6.9246 2.2387
Li 4.7536 4.4789 0.7463
Ti 2.5949 6.2035 3.7311
O 3.5956 2.7074 3.7313
Ti 2.5948 6.2034 0.7464
O 0.9345 2.1006 5.2237
O 0.9345 2.1004 2.2388
Li 4.7536 4.4789 3.7312
O 3.9902 0.3420 2.2388
Ti 4.9899 1.3796 0.7461
```

***

#x
First-principles (PBE+U) data for a relaxed structure of LiTiCrO4, as listed in Materials Project. Values from VASP.

Cell and atoms, written as Quantum ESPRESSO input:
```
&SYSTEM
  ibrav = 0, nat = 28, ntyp = 4
/
ATOMIC_SPECIES
O 16.00 O.upf
Ti 47.87 Ti.upf
Li 6.94 Li.upf
Cr 52.00 Cr.upf
CELL_PARAMETERS angstrom
0.0000 4.2227 -4.2227
0.0000 4.2291 4.2292
8.4001 0.0000 0.0000
ATOMIC_POSITIONS angstrom
O 4.0598 6.4338 -0.0891
Ti 6.3001 4.2245 -2.1097
Ti 2.1001 4.2277 2.1163
Ti 2.1000 6.3389 0.0051
O 0.1403 6.2443 0.0991
O 4.3399 2.0186 0.0968
O 2.0335 4.3459 0.1231
Li 7.3768 3.1717 3.1717
Li 1.0228 1.0572 1.0571
O 6.2328 6.2174 -2.2280
Li 5.2232 5.2831 1.0604
O 6.3677 4.1059 -0.1168
O 6.2328 4.3427 -4.1027
Cr 4.2002 4.2290 4.2290
O 0.1403 4.3219 2.0216
O 8.2602 2.2076 -0.0933
Li 3.1770 3.1685 -1.0542
O 2.1669 4.1092 4.1092
O 2.0328 6.2204 1.9976
O 4.0598 4.1333 2.2112
Cr 4.1997 6.3370 -2.1080
Cr 8.4000 4.2258 0.0032
O 8.2602 4.1295 -2.0151
O 2.1669 6.4573 -1.9881
O 4.3399 4.3193 -2.2040
Cr 0.0004 6.3396 2.1171
Ti 6.3000 2.1131 0.0019
O 6.3670 2.2312 -1.9916
```

***

Relative to the most stable one, in eV/atom, the structures come out at #w 0.024; #x 0.000.

***

#w
First-principles (PBE+U) data for a relaxed structure of Li2Ti3CrO8, as listed in Materials Project. Values from VASP.

Cell and atoms, written as Quantum ESPRESSO input:
```
&SYSTEM
  ibrav = 0, nat = 56, ntyp = 4
/
ATOMIC_SPECIES
O 16.00 O.upf
Ti 47.87 Ti.upf
Li 6.94 Li.upf
Cr 52.00 Cr.upf
CELL_PARAMETERS angstrom
0.0255 4.2433 4.2437
8.4593 -4.1906 4.2421
4.2102 4.2087 -8.4273
ATOMIC_POSITIONS angstrom
O 5.1705 3.2637 -3.2598
O 11.5287 1.1947 -3.0110
Ti 7.4121 1.0903 3.1963
O 5.4095 3.0985 1.2040
O 9.4078 0.9764 3.2969
Li 4.2451 0.0284 4.2458
O 3.2671 0.9496 0.9549
Ti 7.4098 5.2966 -1.0078
Li 0.0021 0.0022 0.0027
O 3.2947 3.2940 3.2985
Cr 9.5030 1.0697 -3.1358
Ti 9.5128 3.1909 -1.0080
Ti 3.1719 -1.0448 1.0639
O 0.9502 3.2665 0.9564
O 11.5272 3.0946 -1.1099
Li 10.5800 2.1473 2.1551
O 3.2640 5.1685 -3.2595
Li 4.2415 4.2412 0.0326
O 5.1663 -0.9510 0.9553
O 3.0988 5.4108 1.2054
O 5.4164 1.2004 3.1048
Li 6.3377 2.1208 -2.0876
O 7.5087 3.2931 -0.9228
O 9.4047 5.1882 -0.9174
O 9.6257 -1.1185 1.2029
Ti 5.3109 3.1968 3.1952
Ti 3.1677 3.1687 -3.1490
Ti 7.4115 3.1934 1.0945
O 3.2666 3.2660 -5.1661
O 5.4128 7.3131 -3.0103
O 7.2852 3.0679 -5.3536
Cr 5.2856 5.2864 -3.1349
Ti 3.1691 1.0661 -1.0468
Ti 11.6269 1.0808 -1.0101
Ti 7.4143 -1.0184 5.3064
Ti 9.5254 -1.0191 3.1950
Li 8.4584 0.0242 0.0318
O 3.0712 3.0695 -1.1323
O 5.1632 5.1618 -5.1601
Cr 5.2934 1.0755 1.0794
Li 6.3415 -2.0918 2.1255
O 5.1652 0.9490 -0.9464
O 7.5097 0.9769 5.1978
O 5.4144 5.4129 -1.1088
O 9.4122 3.2901 0.9841
Ti 5.2689 3.1652 -5.2507
O 9.6295 3.0958 -3.0115
O 9.6310 1.1959 -1.1098
O 7.5103 -0.9233 3.2968
Li 2.1244 2.1252 2.1262
O 7.3127 3.0963 3.1105
O 7.3124 5.4124 -3.0097
O 1.1739 1.1735 -1.1381
O 7.4809 0.9510 -3.2605
O 7.3151 1.1942 1.2039
Cr 9.5362 1.1023 5.3229
```

***

#x
First-principles (PBE+U) data for a relaxed structure of Li2Ti3CrO8, as listed in Materials Project. Values from VASP.

Cell and atoms, written as Quantum ESPRESSO input:
```
&SYSTEM
  ibrav = 0, nat = 28, ntyp = 4
/
ATOMIC_SPECIES
Li 6.94 Li.upf
Ti 47.87 Ti.upf
Cr 52.00 Cr.upf
O 16.00 O.upf
CELL_PARAMETERS angstrom
5.8955 0.0000 0.0000
-2.9478 5.1057 0.0000
0.0000 0.0000 9.6469
ATOMIC_POSITIONS angstrom
Li 0.0000 0.0000 0.0000
Li 0.0000 0.0000 4.8234
Li 0.0000 3.4038 3.8162
Li 2.9478 1.7019 8.6396
Ti 0.0000 1.7263 6.9157
Ti -1.4528 4.2425 6.9157
Ti 1.4950 0.8631 2.0922
Ti 1.4528 4.2425 6.9157
Ti 4.4005 0.8631 2.0922
Ti 2.9478 3.3794 2.0922
Cr 0.0000 3.4038 9.5257
Cr 2.9478 1.7019 4.7023
O 0.0000 0.0000 3.0446
O 0.0000 0.0000 7.8681
O -1.2974 2.6547 8.1203
O 0.0000 1.6699 1.0314
O -1.5016 4.2707 1.0314
O 1.4462 0.8350 5.8548
O 0.0000 3.4038 5.8489
O 1.2974 2.6547 8.1203
O 0.0000 4.9019 8.1203
O 2.9478 0.2038 3.2969
O 1.6503 2.4510 3.2969
O 2.9478 1.7019 1.0255
O 1.5016 4.2707 1.0314
O 4.4493 0.8350 5.8548
O 2.9478 3.4357 5.8548
O 4.2452 2.4510 3.2969
```

***

Relative to the most stable one, in eV/atom, the structures come out at #w 0.000; #x 0.030.